1.
Computed, not measured: an optimized crystal structure of SrClF at the PBE level of DFT.

extended XYZ file:
```
6
Lattice="4.181 0.000 0.000 0.000 4.181 0.000 0.000 0.000 7.020" Properties=species:S:1:pos:R:3 pbc="T T T"
Sr 1.045 1.045 1.412
Sr 3.136 3.136 5.608
Cl 1.045 1.045 4.514
Cl 3.136 3.136 2.506
F 1.045 3.136 0.000
F 3.136 1.045 0.000
```

Total energy = -5.050 eV/atom
E_form = -3.387 eV per atom

2.
Computed, not measured: an optimized crystal structure of TaClF8 at the PBE level of DFT.

extended XYZ file:
```
40
Lattice="10.106 0.000 0.000 0.000 5.996 0.000 0.000 0.000 11.005" Properties=species:S:1:pos:R:3 pbc="T T T"
Ta 0.000 0.697 2.751
Ta 0.000 5.299 8.254
Ta 5.053 0.697 8.254
Ta 5.053 5.299 2.751
Cl 2.526 2.998 0.536
Cl 2.526 2.998 6.038
Cl 7.579 2.998 4.967
Cl 7.579 2.998 10.469
F 1.001 0.860 4.364
F 1.001 5.136 9.866
F 1.148 0.608 7.530
F 1.148 5.388 2.028
F 1.182 2.160 2.033
F 1.182 3.836 7.536
F 1.535 2.331 10.439
F 1.535 3.665 4.936
F 3.518 2.331 4.936
F 3.518 3.665 10.439
F 3.871 2.160 7.536
F 3.871 3.836 2.033
F 3.905 0.608 2.028
F 3.905 5.388 7.530
F 4.052 0.860 9.866
F 4.052 5.136 4.364
F 6.054 0.860 6.641
F 6.054 5.136 1.138
F 6.201 0.608 3.474
F 6.201 5.388 8.977
F 6.235 2.160 8.972
F 6.235 3.836 3.469
F 6.588 2.331 0.566
F 6.588 3.665 6.068
F 8.571 2.331 6.068
F 8.571 3.665 0.566
F 8.924 2.160 3.469
F 8.924 3.836 8.972
F 8.958 0.608 8.977
F 8.958 5.388 3.474
F 9.105 0.860 1.138
F 9.105 5.136 6.641
```

Total energy = -5.076 eV/atom
E_form = -2.543 eV per atom

3.
Computed, not measured: an optimized crystal structure of TaCl4F at the PBE level of DFT.

extended XYZ file:
```
24
Lattice="-6.567 6.567 4.308 6.567 -6.567 4.308 6.567 6.567 -4.308" Properties=species:S:1:pos:R:3 pbc="T T T"
Ta 10.226 0.631 -0.115
Ta 0.631 2.908 0.115
Ta 5.935 3.659 4.423
Ta -3.659 5.935 4.193
Cl 4.741 0.709 -0.247
Cl 6.025 4.139 -1.926
Cl 9.149 2.628 -0.196
Cl 2.768 -0.556 2.199
Cl 3.798 7.123 -2.109
Cl 2.628 3.984 0.196
Cl 5.858 -1.826 4.554
Cl 0.541 2.427 2.382
Cl 6.011 3.798 2.109
Cl 0.709 8.393 0.247
Cl 2.427 -0.541 6.234
Cl 3.939 2.583 4.504
Cl 4.139 7.108 1.926
Cl -2.583 3.939 4.112
Cl 1.826 5.858 4.061
Cl 0.556 2.768 6.417
F 1.636 1.055 -0.016
F 5.511 -4.931 4.324
F 1.055 11.498 0.016
F 4.931 5.511 4.292
```

Total energy = -5.261 eV/atom
Maximum piezoelectric response = 0.00 C/m2
E_form = -1.810 eV per atom

4.
Computed, not measured: an optimized crystal structure of TbCl2F at the PBE level of DFT.

extended XYZ file:
```
8
Lattice="4.477 -2.929 0.000 4.477 2.929 0.000 -2.307 0.000 6.462" Properties=species:S:1:pos:R:3 pbc="T T T"
Tb 2.747 1.564 4.846
Tb 3.900 -1.564 1.615
Cl 1.877 0.163 2.546
Cl 0.724 -0.163 5.777
Cl 5.922 0.163 0.685
Cl 4.769 -0.163 3.916
F 0.000 0.000 0.000
F -1.153 0.000 3.231
```

Total energy = -5.439 eV/atom
E_form = -2.993 eV per atom

5.
Computed, not measured: an optimized crystal structure of FeCl2 at the PBE level of DFT.

extended XYZ file:
```
3
Lattice="1.762 1.017 6.671 -1.762 1.017 6.671 0.000 -2.035 6.671" Properties=species:S:1:pos:R:3 pbc="T T T"
Fe 0.000 0.000 0.000
Cl 0.000 0.000 5.269
Cl 0.000 0.000 14.744
```

Total energy = -4.772 eV/atom
E_form = -1.126 eV per atom

6.
Computed, not measured: an optimized crystal structure of FeCl2 at the PBE level of DFT.

extended XYZ file:
```
3
Lattice="3.514 0.000 0.000 -1.757 3.043 0.000 0.000 0.000 6.181" Properties=species:S:1:pos:R:3 pbc="T T T"
Fe 0.000 0.000 0.000
Cl 0.000 2.029 4.776
Cl 1.757 1.014 1.405
```

Total energy = -4.769 eV/atom
E_form = -1.123 eV per atom

7.
Computed, not measured: an optimized crystal structure of FeCl at the PBE level of DFT.

extended XYZ file:
```
2
Lattice="3.102 0.000 0.000 0.000 3.102 0.000 0.000 0.000 3.102" Properties=species:S:1:pos:R:3 pbc="T T T"
Fe 0.000 0.000 0.000
Cl 1.551 1.551 1.551
```

Total energy = -4.780 eV/atom
E_form = 0.073 eV per atom

8.
Computed, not measured: an optimized crystal structure of FeHN2Cl5 at the PBE level of DFT.

extended XYZ file:
```
36
Lattice="15.583 0.000 0.000 0.000 8.054 0.000 0.000 0.000 8.360" Properties=species:S:1:pos:R:3 pbc="T T T"
Fe 1.436 2.013 2.010
Fe 6.356 6.040 6.190
Fe 9.227 2.013 2.170
Fe 14.147 6.040 6.350
H 0.887 2.013 3.404
H 6.904 6.040 7.584
H 8.679 2.013 0.776
H 14.696 6.040 4.956
N 2.268 0.594 6.503
N 2.268 3.433 6.503
N 5.523 4.621 2.323
N 5.523 7.460 2.323
N 10.060 0.594 6.037
N 10.060 3.433 6.037
N 13.314 4.621 1.857
N 13.314 7.460 1.857
Cl 0.392 6.040 7.377
Cl 1.425 4.060 2.714
Cl 1.425 8.021 2.714
Cl 2.019 2.013 6.092
Cl 3.478 2.013 1.400
Cl 4.314 6.040 5.580
Cl 5.772 6.040 1.912
Cl 6.367 0.033 6.894
Cl 6.367 3.994 6.894
Cl 7.399 2.013 3.197
Cl 8.184 6.040 5.163
Cl 9.216 4.060 1.466
Cl 9.216 8.021 1.466
Cl 9.811 2.013 6.449
Cl 11.269 2.013 2.780
Cl 12.105 6.040 6.960
Cl 13.564 6.040 2.269
Cl 14.158 0.033 5.646
Cl 14.158 3.994 5.646
Cl 15.190 2.013 0.983
```

Total energy = -3.596 eV/atom
E_form = 0.261 eV per atom

9.
Computed, not measured: an optimized crystal structure of HfFeCl6 at the PBE level of DFT.

extended XYZ file:
```
16
Lattice="6.362 0.000 0.000 -3.181 5.509 0.000 0.000 0.000 12.872" Properties=species:S:1:pos:R:3 pbc="T T T"
Hf 0.000 3.673 3.218
Hf 3.181 1.836 9.654
Fe 0.000 0.000 3.218
Fe 0.000 0.000 9.654
Cl -0.867 1.849 4.635
Cl -2.013 3.834 1.801
Cl 0.867 1.849 1.801
Cl -1.146 5.335 4.635
Cl 2.035 0.174 11.071
Cl 1.168 1.675 8.237
Cl 2.013 3.834 4.635
Cl 1.146 5.335 1.801
Cl 4.327 0.174 8.237
Cl 2.314 3.660 11.071
Cl 5.194 1.675 11.071
Cl 4.048 3.660 8.237
```

Total energy = -5.098 eV/atom
E_form = -1.869 eV per atom

10.
Computed, not measured: an optimized crystal structure of K6LiFe24S26Cl at the PBE level of DFT.

extended XYZ file:
```
58
Lattice="9.890 0.000 0.000 0.000 9.890 0.000 0.000 0.000 9.890" Properties=species:S:1:pos:R:3 pbc="T T T"
K 0.000 0.000 2.974
K 0.000 0.000 6.916
K 0.000 2.974 0.000
K 0.000 6.916 0.000
K 2.974 0.000 0.000
K 6.916 0.000 0.000
Li 4.945 4.945 4.945
Fe 1.322 3.624 3.624
Fe 1.322 3.624 6.266
Fe 1.322 6.266 3.624
Fe 1.322 6.266 6.266
Fe 3.624 1.322 3.624
Fe 3.624 1.322 6.266
Fe 3.624 3.624 1.322
Fe 3.624 3.624 8.568
Fe 3.624 6.266 1.322
Fe 3.624 6.266 8.568
Fe 3.624 8.568 3.624
Fe 3.624 8.568 6.266
Fe 6.266 1.322 3.624
Fe 6.266 1.322 6.266
Fe 6.266 3.624 1.322
Fe 6.266 3.624 8.568
Fe 6.266 6.266 1.322
Fe 6.266 6.266 8.568
Fe 6.266 8.568 3.624
Fe 6.266 8.568 6.266
Fe 8.568 3.624 3.624
Fe 8.568 3.624 6.266
Fe 8.568 6.266 3.624
Fe 8.568 6.266 6.266
S 0.000 2.482 4.945
S 0.000 4.945 2.482
S 0.000 4.945 7.408
S 0.000 7.408 4.945
S 2.250 2.250 2.250
S 2.250 2.250 7.640
S 2.250 7.640 2.250
S 2.250 7.640 7.640
S 2.433 4.945 4.945
S 2.482 0.000 4.945
S 2.482 4.945 0.000
S 4.945 0.000 2.482
S 4.945 0.000 7.408
S 4.945 2.433 4.945
S 4.945 2.482 0.000
S 4.945 4.945 2.433
S 4.945 4.945 7.457
S 4.945 7.408 0.000
S 4.945 7.457 4.945
S 7.408 0.000 4.945
S 7.408 4.945 0.000
S 7.457 4.945 4.945
S 7.640 2.250 2.250
S 7.640 2.250 7.640
S 7.640 7.640 2.250
S 7.640 7.640 7.640
Cl 0.000 0.000 0.000
```

Total energy = -6.107 eV/atom
E_form = -0.804 eV per atom

11.
Computed, not measured: an optimized crystal structure of K3NaFeCl6 at the PBE level of DFT.

extended XYZ file:
```
11
Lattice="4.470 -6.905 0.000 4.470 6.905 0.000 -0.667 0.000 6.199" Properties=species:S:1:pos:R:3 pbc="T T T"
K 0.000 0.000 0.000
K 2.235 3.452 0.000
K 2.235 -3.452 0.000
Na 4.470 0.000 0.000
Fe -0.333 0.000 3.100
Cl 2.947 5.120 4.166
Cl 5.327 5.120 2.034
Cl 1.883 0.000 4.664
Cl 6.391 0.000 1.536
Cl 2.947 -5.120 4.166
Cl 5.327 -5.120 2.034
```

Total energy = -3.486 eV/atom
E_form = -1.619 eV per atom
Distance to the lowest polymorph of the same formula = 306 meV per atom

12.
Computed, not measured: an optimized crystal structure of K3NaFeCl6 at the PBE level of DFT.

extended XYZ file:
```
11
Lattice="6.430 3.713 2.312 -6.430 3.713 2.312 0.000 -7.425 2.312" Properties=species:S:1:pos:R:3 pbc="T T T"
K -3.215 -1.856 2.312
K -3.215 1.856 4.623
K 0.000 3.713 2.312
Na 0.000 0.000 0.000
Fe 0.000 0.000 3.468
Cl 0.000 -2.033 1.982
Cl -1.761 1.017 1.982
Cl 1.761 1.017 1.982
Cl -1.761 -1.017 4.953
Cl 1.761 -1.017 4.953
Cl 0.000 2.033 4.953
```

Total energy = -3.751 eV/atom
E_form = -1.885 eV per atom
Distance to the lowest polymorph of the same formula = 41 meV per atom

13.
Computed, not measured: an optimized crystal structure of K3NaFeCl6 at the PBE level of DFT.

extended XYZ file:
```
11
Lattice="4.419 -6.551 0.000 4.419 6.551 0.000 -3.878 0.000 5.823" Properties=species:S:1:pos:R:3 pbc="T T T"
K 0.000 0.000 0.000
K 0.271 3.276 2.912
K 0.271 -3.276 2.912
Na 4.419 0.000 0.000
Fe 2.480 0.000 2.912
Cl 2.411 1.771 1.126
Cl -0.012 0.000 3.082
Cl 2.411 -1.771 1.126
Cl 2.550 1.771 4.697
Cl 4.973 0.000 2.741
Cl 2.550 -1.771 4.697
```

Total energy = -3.751 eV/atom
E_form = -1.885 eV per atom
Distance to the lowest polymorph of the same formula = 41 meV per atom

14.
Computed, not measured: an optimized crystal structure of K3NaFeCl6 at the PBE level of DFT.

extended XYZ file:
```
22
Lattice="6.107 3.526 4.625 -6.107 3.526 4.625 0.000 -7.052 4.625" Properties=species:S:1:pos:R:3 pbc="T T T"
K -3.809 0.454 5.781
K -2.298 -3.072 8.094
K 1.511 -3.526 5.781
K -1.511 3.526 8.094
K 2.298 3.072 5.781
K 3.809 -0.454 8.094
Na 0.000 0.000 3.469
Na 0.000 0.000 10.406
Fe 0.000 0.000 0.000
Fe 0.000 0.000 6.937
Cl -5.350 -1.643 7.775
Cl -1.252 -5.455 6.100
Cl -1.252 -1.597 5.462
Cl -4.098 3.812 6.100
Cl -0.757 1.883 5.462
Cl -2.009 0.286 8.413
Cl 2.009 -0.286 5.462
Cl 0.757 -1.883 8.413
Cl 4.098 -3.812 7.775
Cl 1.252 1.597 8.413
Cl 1.252 5.455 7.775
Cl 5.350 1.643 6.100
```

Total energy = -3.792 eV/atom
E_form = -1.925 eV per atom
Distance to the lowest polymorph of the same formula = 0 meV per atom

15.
Computed, not measured: an optimized crystal structure of K3NaFeCl6 at the PBE level of DFT.

extended XYZ file:
```
22
Lattice="5.554 -10.500 0.000 5.554 10.500 0.000 -3.395 0.000 6.421" Properties=species:S:1:pos:R:3 pbc="T T T"
K -0.844 3.317 5.977
K 3.007 5.945 4.816
K 0.854 -3.317 2.766
K 6.858 3.317 3.655
K 4.705 -5.945 1.605
K 8.556 -3.317 0.444
Na 3.007 10.434 4.816
Na 4.705 -10.434 1.605
Fe 5.554 0.000 0.000
Fe 3.856 0.000 3.211
Cl 3.592 8.559 3.048
Cl 2.484 4.698 2.101
Cl 5.818 8.559 0.163
Cl 3.329 0.146 0.849
Cl 1.632 -0.146 4.060
Cl 6.926 4.698 1.110
Cl 0.786 -4.698 5.311
Cl 6.080 0.146 2.362
Cl 4.383 -0.146 5.572
Cl 1.894 -8.559 6.258
Cl 5.228 -4.698 4.320
Cl 4.120 -8.559 3.373
```

Total energy = -3.618 eV/atom
E_form = -1.751 eV per atom
Distance to the lowest polymorph of the same formula = 174 meV per atom